(1)
GGA-PBE K4In2Si8O21, optimized geometry; corrected total energy (MP2020 scheme) = -7.4293 eV per atom; energy of formation = -2.9363 eV per atom
1.0
11.6671 0.0000 0.0000
0.0000 8.5403 0.0000
0.0000 8.4930 10.6316
O Si In K
42 16 4 8
Direct
0.7917 0.3403 0.8612
0.7134 0.9078 0.4085
0.6495 0.5613 0.4644
0.1399 0.7871 0.7267
0.1540 0.7954 0.4091
0.3601 0.7871 0.2267
0.6540 0.2046 0.0909
0.6818 0.6003 0.6468
0.8460 0.2046 0.5909
0.2083 0.6597 0.1388
0.7866 0.9078 0.9085
0.5042 0.7861 0.4917
0.3460 0.7954 0.9091
0.0042 0.2139 0.0083
0.0640 0.1545 0.5551
0.8601 0.2129 0.2733
0.3182 0.3997 0.3532
0.5640 0.8455 0.9449
0.1818 0.3997 0.8532
0.3473 0.0347 0.2784
0.9958 0.7861 0.9917
0.0617 0.5979 0.6431
0.0000 0.5000 0.5000
0.6399 0.2129 0.7733
0.2134 0.0922 0.0915
0.3505 0.4387 0.5356
0.4383 0.5979 0.1431
0.5000 0.5000 0.0000
0.5617 0.4021 0.8569
0.9383 0.4021 0.3569
0.2866 0.0922 0.5915
0.1495 0.4387 0.0356
0.1527 0.0347 0.7784
0.8182 0.6003 0.1468
0.2917 0.6597 0.6388
0.4958 0.2139 0.5083
0.6527 0.9653 0.7216
0.8505 0.5613 0.9644
0.9360 0.8455 0.4449
0.8473 0.9653 0.2216
0.7083 0.3403 0.3612
0.4360 0.1545 0.0551
0.0429 0.6863 0.4956
0.8265 0.3843 0.2887
0.3265 0.6157 0.2113
0.6735 0.3843 0.7887
0.6320 0.7038 0.5028
0.5429 0.3137 0.0044
0.8680 0.7038 0.0028
0.1735 0.6157 0.7113
0.3680 0.2962 0.4972
0.1630 0.0247 0.6642
0.9571 0.3137 0.5044
0.4571 0.6863 0.9956
0.3370 0.0247 0.1642
0.1320 0.2962 0.9972
0.6630 0.9753 0.8358
0.8370 0.9753 0.3358
0.6662 0.2622 0.5399
0.1662 0.7378 0.9601
0.3338 0.7378 0.4601
0.8338 0.2622 0.0399
0.0325 0.8021 0.1917
0.9675 0.1979 0.8083
0.3578 0.2205 0.7954
0.8578 0.7795 0.7046
0.6422 0.7795 0.2046
0.5325 0.1979 0.3083
0.4675 0.8021 0.6917
0.1422 0.2205 0.2954

(2)
GGA-PBE K5In3Si7O21, optimized geometry; corrected total energy (MP2020 scheme) = -7.1384 eV per atom; energy of formation = -2.8136 eV per atom
1.0
10.4199 0.0000 0.0000
0.0000 12.6987 0.0000
0.0000 0.0000 17.1181
O Si K In
84 28 20 12
Direct
0.7981 0.3369 0.2933
0.7472 0.9824 0.5353
0.4258 0.2773 0.6369
0.4090 0.5382 0.1942
0.9186 0.1894 0.6362
0.4186 0.8106 0.3638
0.1438 0.8195 0.4053
0.6305 0.5080 0.7833
0.6647 0.8274 0.6333
0.4350 0.8726 0.6917
0.0695 0.1629 0.5098
0.6261 0.3886 0.5772
0.1305 0.4920 0.2167
0.6407 0.3115 0.7189
0.6407 0.8115 0.7811
0.4090 0.0382 0.3058
0.9258 0.2227 0.1369
0.6438 0.6805 0.9053
0.1407 0.1885 0.2189
0.8169 0.2812 0.9839
0.1647 0.1726 0.3667
0.1407 0.6885 0.2811
0.4328 0.9344 0.0235
0.3169 0.2188 0.4839
0.2981 0.6631 0.7067
0.1290 0.4311 0.4983
0.4328 0.4344 0.4765
0.3016 0.9643 0.8476
0.9328 0.0656 0.9765
0.4350 0.3726 0.8083
0.3169 0.7188 0.0161
0.9350 0.6274 0.1917
0.9186 0.6894 0.8638
0.9258 0.7227 0.3631
0.6583 0.7284 0.3661
0.6290 0.5689 0.5017
0.6372 0.6313 0.1973
0.1261 0.1114 0.0772
0.1263 0.5608 0.8614
0.2472 0.5176 0.0353
0.8169 0.7812 0.5161
0.7981 0.8369 0.2067
0.5810 0.4598 0.2905
0.0810 0.0402 0.7905
0.6647 0.3274 0.8667
0.6305 0.0080 0.7167
0.5810 0.9598 0.2095
0.6438 0.1805 0.5947
0.4258 0.7773 0.8631
0.0695 0.6629 0.9902
0.1263 0.0608 0.6386
0.0810 0.5402 0.7095
0.9328 0.5656 0.5235
0.8016 0.0357 0.1524
0.6261 0.8886 0.9228
0.1583 0.2716 0.6339
0.6263 0.9392 0.3614
0.6263 0.4392 0.1386
0.1438 0.3195 0.0947
0.1647 0.6726 0.1333
0.5695 0.8371 0.4902
0.1583 0.7716 0.8661
0.8016 0.5357 0.3476
0.6372 0.1313 0.3027
0.6678 0.3840 0.4235
0.4186 0.3106 0.1362
0.1678 0.1160 0.9235
0.1305 0.9920 0.2833
0.1261 0.6114 0.4228
0.1372 0.8687 0.6973
0.2472 0.0176 0.4647
0.9090 0.9618 0.6942
0.6290 0.0689 0.9983
0.1678 0.6160 0.5765
0.1372 0.3687 0.8027
0.1290 0.9311 0.0017
0.2981 0.1631 0.7933
0.5695 0.3371 0.0098
0.9350 0.1274 0.3083
0.9090 0.4618 0.8058
0.3016 0.4643 0.6524
0.6678 0.8840 0.0765
0.6583 0.2284 0.1339
0.7472 0.4824 0.9647
0.5619 0.5196 0.2039
0.0850 0.5529 0.5062
0.2026 0.6403 0.0422
0.7026 0.8597 0.5422
0.7026 0.3597 0.9578
0.0821 0.7140 0.3690
0.0880 0.6150 0.2071
0.5659 0.3259 0.1068
0.0821 0.2140 0.1310
0.0850 0.0529 0.9938
0.5880 0.3850 0.7929
0.0619 0.4804 0.7961
0.5659 0.8259 0.3932
0.2169 0.5718 0.6637
0.0659 0.1741 0.6068
0.5850 0.9471 0.0062
0.0880 0.1150 0.2929
0.7169 0.9282 0.1637
0.0619 0.9804 0.7039
0.7169 0.4282 0.3363
0.5880 0.8850 0.7071
0.5821 0.2860 0.6310
0.2169 0.0718 0.8363
0.5619 0.0196 0.2961
0.2026 0.1403 0.4578
0.5821 0.7860 0.8690
0.5850 0.4471 0.4938
0.0659 0.6741 0.8932
0.7631 0.1759 0.4470
0.5407 0.1139 0.8457
0.0407 0.3861 0.3457
0.8874 0.9062 0.8653
0.3874 0.5938 0.3653
0.9077 0.4319 0.1042
0.9077 0.9319 0.3958
0.4300 0.7619 0.1591
0.5407 0.6139 0.6543
0.8874 0.4062 0.6347
0.4077 0.5681 0.8958
0.4300 0.2619 0.3409
0.4077 0.0681 0.6042
0.9300 0.7381 0.6591
0.2631 0.3241 0.9470
0.7631 0.6759 0.0530
0.9300 0.2381 0.8409
0.0407 0.8861 0.1543
0.3874 0.0938 0.1347
0.2631 0.8241 0.5530
0.7760 0.5675 0.8599
0.2760 0.9325 0.3599
0.2898 0.3121 0.7324
0.2926 0.8588 0.9510
0.2926 0.3588 0.5490
0.7926 0.1412 0.0490
0.7898 0.6879 0.2676
0.7760 0.0675 0.6401
0.7926 0.6412 0.4510
0.7898 0.1879 0.2324
0.2760 0.4325 0.1401
0.2898 0.8121 0.7676

(3)
GGA-PBE K2InP2S7, optimized geometry; corrected total energy (MP2020 scheme) = -4.7026 eV per atom; energy of formation = -0.9731 eV per atom
1.0
5.3841 7.3272 0.0000
-5.3841 7.3272 0.0000
0.0000 2.9425 8.3309
S K P In
14 4 4 2
Direct
0.3615 0.3615 0.5954
0.2974 0.9860 0.4661
0.9941 0.9941 0.2026
0.0059 0.0059 0.7974
0.6302 0.3076 0.8044
0.6924 0.3698 0.1956
0.3698 0.6924 0.1956
0.7299 0.7299 0.9903
0.0140 0.7026 0.5339
0.7026 0.0140 0.5339
0.2701 0.2701 0.0097
0.9860 0.2974 0.4661
0.6385 0.6385 0.4046
0.3076 0.6302 0.8044
0.3880 0.9526 0.8409
0.9526 0.3880 0.8409
0.6120 0.0474 0.1591
0.0474 0.6120 0.1591
0.9401 0.9401 0.4407
0.0599 0.0599 0.5593
0.6100 0.6100 0.1853
0.3900 0.3900 0.8147
0.3110 0.6890 0.5000
0.6890 0.3110 0.5000

(4)
GGA-PBE K2In2P3Se10, optimized geometry; corrected total energy (MP2020 scheme) = -4.2328 eV per atom; energy of formation = -0.7667 eV per atom
1.0
8.0100 0.0000 0.0000
0.0000 13.6287 0.0000
0.0000 5.6815 19.3579
Se P K In
40 12 8 8
Direct
0.8403 0.6543 0.4379
0.9833 0.8183 0.1028
0.7345 0.3433 0.2765
0.1597 0.3457 0.5621
0.6019 0.5797 0.5899
0.8981 0.0797 0.5899
0.5167 0.3183 0.1028
0.2655 0.6567 0.7235
0.8660 0.7922 0.5936
0.6597 0.1543 0.4379
0.2232 0.0834 0.0709
0.7232 0.4166 0.9291
0.2279 0.3953 0.2440
0.1019 0.9203 0.4101
0.7777 0.5359 0.0712
0.9229 0.1325 0.2188
0.2721 0.8953 0.2440
0.6340 0.2922 0.5936
0.5771 0.6325 0.2188
0.3403 0.8457 0.5621
0.2777 0.9641 0.9288
0.1340 0.2078 0.4064
0.7655 0.8433 0.2765
0.4833 0.6817 0.8972
0.0167 0.1817 0.8972
0.0309 0.6166 0.2781
0.7768 0.9166 0.9291
0.7721 0.6047 0.7560
0.5309 0.8834 0.7219
0.9691 0.3834 0.7219
0.4691 0.1166 0.2781
0.0771 0.8675 0.7812
0.7279 0.1047 0.7560
0.2223 0.4641 0.9288
0.2345 0.1567 0.7235
0.2768 0.5834 0.0709
0.3660 0.7078 0.4064
0.4229 0.3675 0.7812
0.3981 0.4203 0.4101
0.7223 0.0359 0.0712
0.9391 0.7260 0.3359
0.3256 0.3162 0.3474
0.5609 0.2260 0.3359
0.1128 0.0511 0.9799
0.6744 0.6838 0.6526
0.8872 0.9489 0.0201
0.4391 0.7740 0.6641
0.8256 0.1838 0.6526
0.1744 0.8162 0.3474
0.6128 0.4489 0.0201
0.0609 0.2740 0.6641
0.3872 0.5511 0.9799
0.3543 0.0976 0.5731
0.1457 0.5976 0.5731
0.5499 0.1792 0.9198
0.4501 0.8208 0.0802
0.8543 0.4024 0.4269
0.0499 0.3208 0.0802
0.9501 0.6792 0.9198
0.6457 0.9024 0.4269
0.6467 0.3991 0.6882
0.9719 0.9673 0.1762
0.1467 0.1009 0.3118
0.8533 0.8991 0.6882
0.4719 0.5327 0.8238
0.3533 0.6009 0.3118
0.0281 0.0327 0.8238
0.5281 0.4673 0.1762

(5)
GGA-PBE KIn5S8, optimized geometry; corrected total energy (MP2020 scheme) = -4.3615 eV per atom; energy of formation = -0.9358 eV per atom
1.0
1.9584 9.6417 0.0000
-1.9584 9.6417 0.0000
0.0000 2.0908 9.1179
In S K
5 8 1
Direct
0.6448 0.6448 0.0920
0.0000 0.0000 0.0000
0.3552 0.3552 0.9080
0.7131 0.7131 0.6617
0.2869 0.2869 0.3383
0.8352 0.8352 0.4758
0.2375 0.2375 0.8473
0.5854 0.5854 0.8756
0.4146 0.4146 0.1244
0.9312 0.9312 0.7826
0.1648 0.1648 0.5242
0.0688 0.0688 0.2174
0.7625 0.7625 0.1527
0.5000 0.5000 0.5000

(6)
GGA-PBE KInS2, optimized geometry; corrected total energy (MP2020 scheme) = -4.2242 eV per atom; energy of formation = -1.1905 eV per atom
1.0
5.6003 5.6013 0.0000
-5.6003 5.6013 0.0000
0.0000 2.8076 14.9858
K S In
8 16 8
Direct
0.3448 0.2215 0.1176
0.2215 0.3448 0.6176
0.7780 0.1537 0.3838
0.7785 0.6552 0.3824
0.2220 0.8463 0.6162
0.6552 0.7785 0.8824
0.1537 0.7780 0.8838
0.8463 0.2220 0.1162
0.2657 0.1386 0.4440
0.2642 0.6387 0.4460
0.6387 0.2642 0.9460
0.4287 0.0530 0.7506
0.9468 0.0532 0.7500
0.1386 0.2657 0.9440
0.9470 0.5713 0.7494
0.3613 0.7358 0.0540
0.0530 0.4287 0.2506
0.5713 0.9470 0.2494
0.8614 0.7343 0.0560
0.4286 0.5714 0.7500
0.7343 0.8614 0.5560
0.7358 0.3613 0.5540
0.0532 0.9468 0.2500
0.5714 0.4286 0.2500
0.7112 0.0882 0.6558
0.2889 0.4158 0.3447
0.4158 0.2889 0.8447
0.5842 0.7111 0.1553
0.7111 0.5842 0.6553
0.9118 0.2888 0.8442
0.0882 0.7112 0.1558
0.2888 0.9118 0.3442

(7)
GGA-PBE KIn5S8, optimized geometry; corrected total energy (MP2020 scheme) = -4.3619 eV per atom; energy of formation = -0.9362 eV per atom
1.0
1.9564 9.6663 0.0000
-1.9564 9.6663 0.0000
0.0000 2.1122 9.1246
In S K
5 8 1
Direct
0.6449 0.6449 0.0919
0.7137 0.7137 0.6625
0.3552 0.3552 0.9081
0.9997 0.9997 0.0005
0.2875 0.2875 0.3379
0.5856 0.5856 0.8757
0.7621 0.7621 0.1531
0.0691 0.0691 0.2162
0.8340 0.8340 0.4759
0.4145 0.4145 0.1235
0.1649 0.1649 0.5244
0.9311 0.9311 0.7836
0.2378 0.2378 0.8470
0.5210 0.5210 0.5163